(1)
Density functional theory data (PBE) for an optimized crystal structure of Mg7Ga.

a = 6.3234 Å, b = 6.3234 Å, c = 5.0840 Å
α = 90.00°, β = 90.00°, γ = 120.00°
Space group P-6m2 (No. 187)
Asymmetric unit:
Mg1 0.0000 0.0000 0.0000 (multiplicity 1)
Mg2 0.0025 0.5012 0.0000 (multiplicity 3)
Mg3 0.3329 0.1664 0.5000 (multiplicity 3)
Ga1 0.3333 0.6667 0.5000 (multiplicity 1)

## Properties
Energy relative to the elements, eV per formula unit: -0.224

=====

(2)
Density functional theory data (PBE) for an optimized crystal structure of MgGa.

a = 11.201 Å, b = 3.223 Å, c = 6.809 Å
α = 90.00°, β = 104.84°, γ = 90.00°
Space group Cm (No. 8)
Asymmetric unit:
Mg1 0.000 0.000 0.000 (multiplicity 2)
Mg2 0.043 0.000 0.567 (multiplicity 2)
Mg3 0.322 0.000 0.642 (multiplicity 2)
Ga1 0.166 0.500 0.307 (multiplicity 2)
Ga2 0.218 0.500 0.926 (multiplicity 2)
Ga3 0.371 0.000 0.248 (multiplicity 2)

## Properties
Energy relative to the elements, eV per formula unit: -0.145
Total magnetization, μB per formula unit: 0.0

=====

(3)
Density functional theory data (PBE) for an optimized crystal structure of MgGa2.

a = 3.114 Å, b = 14.695 Å, c = 5.022 Å
α = 90.00°, β = 90.00°, γ = 90.00°
Space group Cmcm (No. 63)
Asymmetric unit:
Mg1 0.000 0.060 0.250 (multiplicity 4)
Ga1 0.000 0.273 0.750 (multiplicity 4)
Ga2 0.000 0.386 0.250 (multiplicity 4)

## Properties
Energy relative to the elements, eV per formula unit: -0.118
Total magnetization, μB per formula unit: 0.0

=====

(4)
Density functional theory data (PBE) for an optimized crystal structure of Mg2Ga.

a = 4.760 Å, b = 3.333 Å, c = 15.616 Å
α = 90.00°, β = 90.00°, γ = 90.00°
Space group Amm2 (No. 38)
Asymmetric unit:
Mg1 0.000 0.000 0.000 (multiplicity 2)
Mg2 0.000 0.000 0.326 (multiplicity 2)
Mg3 0.000 0.000 0.664 (multiplicity 2)
Mg4 0.500 0.000 0.881 (multiplicity 2)
Ga1 0.500 0.000 0.214 (multiplicity 2)
Ga2 0.500 0.000 0.551 (multiplicity 2)

## Properties
Energy relative to the elements, eV per formula unit: -0.103
Total magnetization, μB per formula unit: 0.0

=====

(5)
Density functional theory data (PBE) for an optimized crystal structure of MgGa2.

a = 10.734 Å, b = 3.211 Å, c = 7.104 Å
α = 90.00°, β = 107.92°, γ = 90.00°
Space group C2/m (No. 12)
Asymmetric unit:
Mg1 0.027 0.000 0.293 (multiplicity 4)
Ga1 0.146 0.500 0.033 (multiplicity 4)
Ga2 0.193 0.500 0.641 (multiplicity 4)

## Properties
Energy relative to the elements, eV per formula unit: -0.212

=====

(6)
Density functional theory data (PBE) for an optimized crystal structure of MgGa.

a = 4.788 Å, b = 9.402 Å, c = 5.280 Å
α = 90.00°, β = 90.00°, γ = 90.00°
Space group Amm2 (No. 38)
Asymmetric unit:
Mg1 0.000 0.000 0.000 (multiplicity 2)
Mg2 0.500 0.170 0.815 (multiplicity 4)
Ga1 0.000 0.167 0.496 (multiplicity 4)
Ga2 0.500 0.000 0.320 (multiplicity 2)

## Properties
Energy relative to the elements, eV per formula unit: -0.145
Total magnetization, μB per formula unit: 0.0

=====

(7)
Density functional theory data (PBE) for an optimized crystal structure of Mg2Ga.

a = 5.4396 Å, b = 5.4396 Å, c = 4.8576 Å
α = 90.00°, β = 90.00°, γ = 120.00°
Space group P-62m (No. 189)
Asymmetric unit:
Mg1 0.0000 0.0000 0.0000 (multiplicity 1)
Mg2 0.0000 0.3413 0.5000 (multiplicity 3)
Ga1 0.3333 0.6667 0.0000 (multiplicity 2)

## Properties
Energy relative to the elements, eV per formula unit: -0.197
Total magnetization, μB per formula unit: 0.0

=====

(8)
Density functional theory data (PBE) for an optimized crystal structure of MgGa2.

a = 6.885 Å, b = 16.376 Å, c = 4.139 Å
α = 90.00°, β = 90.00°, γ = 90.00°
Space group Pbam (No. 55)
Asymmetric unit:
Mg1 0.176 0.077 0.000 (multiplicity 4)
Mg2 0.202 0.780 0.000 (multiplicity 4)
Ga1 0.030 0.658 0.500 (multiplicity 4)
Ga2 0.091 0.190 0.500 (multiplicity 4)
Ga3 0.098 0.433 0.000 (multiplicity 4)
Ga4 0.143 0.938 0.500 (multiplicity 4)

## Properties
Energy relative to the elements, eV per formula unit: -0.339